Entry 1:
## Na2LiMnPCO7 (PBE+U)

Data for a relaxed Na2LiMnPCO7 crystal.

Cell: 5.2936 6.8826 8.8507 Å, 90.00 94.29 90.00°
Last column: nearest neighbours and their distance in Å.
Atoms (fractional coordinates):
1 O 0.0071 0.2500 0.1014  1 C 1.31
2 Na 0.2857 0.9964 0.7471  4 O 2.29-2.50
3 O 0.1929 0.9297 0.3115  1 P 1.56
4 O 0.1929 0.5703 0.3115  1 P 1.56
5 Na 0.2857 0.5036 0.7471  4 O 2.29-2.50
6 C 0.7619 0.7500 0.9432  3 O 1.29-1.31
7 P 0.2827 0.7500 0.4090  4 O 1.55-1.56
8 O 0.5703 0.7500 0.8429  1 C 1.30
9 O 0.4295 0.2500 0.1572  1 C 1.30
10 Na 0.7143 0.0036 0.2528  4 O 2.29-2.50
11 O 0.8276 0.2500 0.4333  1 P 1.55
12 O 0.8071 0.4297 0.6885  1 P 1.56
13 O 0.2678 0.2500 0.9131  1 C 1.29
14 Li 0.1217 0.7500 0.1235  4 O 2.06-2.09
15 O 0.8071 0.0703 0.6885  1 P 1.56
16 Mn 0.7969 0.7500 0.6419  5 O 2.11-2.24
17 O 0.4219 0.2500 0.5680  1 P 1.56
18 Na 0.7143 0.4964 0.2528  4 O 2.29-2.50
19 O 0.7322 0.7500 0.0869  1 C 1.29
20 Li 0.8783 0.2500 0.8765  4 O 2.06-2.09
21 O 0.1724 0.7500 0.5667  1 P 1.55
22 Mn 0.2033 0.2500 0.3582  5 O 2.11-2.24
23 P 0.7174 0.2500 0.5910  4 O 1.55-1.56
24 O 0.9927 0.7500 0.8986  1 C 1.31
25 C 0.2380 0.2500 0.0568  3 O 1.29-1.31
26 O 0.5781 0.7500 0.4321  1 P 1.56

Calculated values
SG: P2_1/m, No. 11
Energy of formation in eV/atom: -2.3764



Entry 2:
## MgMnPb2WO6 (PBE+U)

Data for a relaxed MgMnPb2WO6 crystal.

Cell: 7.0046 6.9294 7.0046 Å, 52.72 53.16 52.72°
Last column: nearest neighbours and their distance in Å.
Atoms (fractional coordinates):
1 Mg 0.0962 0.0828 0.0962  3 O 1.93
2 Pb 0.6894 0.8489 0.6894  2 O 2.32
3 O 0.3152 0.2161 0.7427  1 Mg 1.93
4 O 0.7491 0.7444 0.2484  1 W 1.82
5 O 0.2832 0.7279 0.2832  1 Mg 1.93, 1 Mn 2.16
6 O 0.7427 0.2161 0.3152  1 Mg 1.93
7 O 0.2484 0.7444 0.7491  1 W 1.82
8 Mn 0.5127 0.5085 0.5127  6 O 2.16-2.32
9 O 0.7497 0.2636 0.7497  1 W 1.81
10 W 0.9137 0.9180 0.9137  3 O 1.81-1.82
11 Pb 0.3298 0.3621 0.3298  3 O 2.18-2.37

Calculated values
SG: Cm, No. 8
Energy of formation in eV/atom: -1.7404



Entry 3:
## VPbO3 (PBE+U)

Data for a relaxed VPbO3 crystal.

Cell: 3.9326 3.9326 3.9326 Å, 90.00 90.00 90.00°
Last column: nearest neighbours and their distance in Å.
Atoms (fractional coordinates):
1 O 0.5000 0.0000 0.5000  2 V 1.97
2 V 0.5000 0.5000 0.5000  6 O 1.97
3 Pb 0.0000 0.0000 0.0000  12 O 2.78
4 O 0.0000 0.5000 0.5000  2 V 1.97
5 O 0.5000 0.5000 0.0000  2 V 1.97

Calculated values
SG: Pm-3m, No. 221
Energy of formation in eV/atom: -2.0122